# Li2MgCo13O28 | Materials Project | GGA+U | optimized geometry
data_Li2MgCo13O28
_chemical_formula_sum 'Li2 Mg1 Co13 O28'
_cell_length_a 7.5447
_cell_length_b 8.1754
_cell_length_c 8.6540
_cell_angle_alpha 100.91
_cell_angle_beta 104.67
_cell_angle_gamma 105.65
_space_group_name_H-M_alt 'P 1'
_space_group_IT_number 1
_space_group_name_Hall 'P 1'
loop_
_atom_site_label
_atom_site_fract_x
_atom_site_fract_y
_atom_site_fract_z
Li1 0.0793 0.2158 0.2919
Li2 0.9207 0.7842 0.7081
Mg1 0.0000 0.5000 0.5000
Co1 0.0723 0.7164 0.2870
Co2 0.1429 0.9288 0.0711
Co3 0.2192 0.1515 0.8641
Co4 0.2884 0.3616 0.6474
Co5 0.3624 0.5782 0.4345
Co6 0.4282 0.7879 0.2156
Co7 0.5000 0.0000 0.0000
Co8 0.5718 0.2121 0.7844
Co9 0.6376 0.4218 0.5655
Co10 0.7116 0.6384 0.3526
Co11 0.7808 0.8485 0.1359
Co12 0.8571 0.0712 0.9289
Co13 0.9277 0.2836 0.7130
O1 0.0236 0.2668 0.5313
O2 0.0525 0.9382 0.2562
O3 0.1025 0.4998 0.3054
O4 0.1265 0.1525 0.0528
O5 0.1583 0.7110 0.0998
O6 0.1999 0.3660 0.8355
O7 0.2264 0.9229 0.8824
O8 0.2951 0.5825 0.6255
O9 0.3007 0.1380 0.6764
O10 0.3447 0.7992 0.4034
O11 0.3642 0.3491 0.4524
O12 0.4123 0.0087 0.1861
O13 0.4424 0.5700 0.2424
O14 0.4880 0.2213 0.9753
O15 0.5120 0.7787 0.0247
O16 0.5576 0.4300 0.7577
O17 0.5877 0.9913 0.8139
O18 0.6358 0.6509 0.5476
O19 0.6553 0.2008 0.5966
O20 0.6993 0.8620 0.3236
O21 0.7049 0.4175 0.3745
O22 0.7736 0.0771 0.1176
O23 0.8001 0.6340 0.1645
O24 0.8417 0.2890 0.9002
O25 0.8735 0.8475 0.9472
O26 0.8975 0.5002 0.6946
O27 0.9475 0.0618 0.7438
O28 0.9764 0.7332 0.4687
# - Volume: 10.86 Å³/atom
# - Energy of formation from the pure elements: -1252 meV/atom
# - SG: P-1, No. 2
# - Polymorph energy (0 for the lowest one): 11 meV/atom

=====

# LiMg6CoO8 | Materials Project | GGA+U | optimized geometry
data_LiMg6CoO8
_chemical_formula_sum 'Li1 Mg6 Co1 O8'
_cell_length_a 4.2357
_cell_length_b 4.2357
_cell_length_c 8.4234
_cell_angle_alpha 90.00
_cell_angle_beta 90.00
_cell_angle_gamma 90.00
_space_group_name_H-M_alt 'P 1'
_space_group_IT_number 1
_space_group_name_Hall 'P 1'
loop_
_atom_site_label
_atom_site_fract_x
_atom_site_fract_y
_atom_site_fract_z
Li1 0.0000 0.0000 0.0000
Mg1 0.0000 0.5000 0.2418
Mg2 0.0000 0.5000 0.7582
Mg3 0.5000 0.0000 0.2418
Mg4 0.5000 0.0000 0.7582
Mg5 0.5000 0.5000 0.0000
Mg6 0.5000 0.5000 0.5000
Co1 0.0000 0.0000 0.5000
O1 0.0000 0.0000 0.2742
O2 0.0000 0.0000 0.7258
O3 0.0000 0.5000 0.0000
O4 0.0000 0.5000 0.5000
O5 0.5000 0.0000 0.0000
O6 0.5000 0.0000 0.5000
O7 0.5000 0.5000 0.2530
O8 0.5000 0.5000 0.7470
# - Volume: 9.45 Å³/atom
# - Energy of formation from the pure elements: -2638 meV/atom
# - SG: P4/mmm, No. 123
# - Polymorph energy (0 for the lowest one): 21 meV/atom

=====

# Li14MgCo13O28 | Materials Project | GGA+U | optimized geometry
data_Li14MgCo13O28
_chemical_formula_sum 'Li14 Mg1 Co13 O28'
_cell_length_a 7.5326
_cell_length_b 8.0794
_cell_length_c 8.5666
_cell_angle_alpha 103.16
_cell_angle_beta 104.55
_cell_angle_gamma 105.45
_space_group_name_H-M_alt 'P 1'
_space_group_IT_number 1
_space_group_name_Hall 'P 1'
loop_
_atom_site_label
_atom_site_fract_x
_atom_site_fract_y
_atom_site_fract_z
Li1 0.0000 0.0000 0.0000
Li2 0.0698 0.2136 0.7849
Li3 0.1434 0.4285 0.5716
Li4 0.2147 0.6433 0.3572
Li5 0.2863 0.8574 0.1433
Li6 0.3580 0.0710 0.9271
Li7 0.4286 0.2852 0.7141
Li8 0.5000 0.5000 0.5000
Li9 0.5714 0.7148 0.2859
Li10 0.6420 0.9290 0.0729
Li11 0.7137 0.1426 0.8567
Li12 0.7853 0.3567 0.6428
Li13 0.8566 0.5715 0.4284
Li14 0.9302 0.7864 0.2151
Mg1 0.5000 0.0000 0.5000
Co1 0.0000 0.5000 0.0000
Co2 0.0717 0.7142 0.7858
Co3 0.1430 0.9286 0.5715
Co4 0.2147 0.1428 0.3571
Co5 0.2859 0.3574 0.1430
Co6 0.3572 0.5717 0.9291
Co7 0.4285 0.7856 0.7142
Co8 0.5715 0.2144 0.2858
Co9 0.6428 0.4283 0.0709
Co10 0.7141 0.6426 0.8570
Co11 0.7853 0.8572 0.6429
Co12 0.8570 0.0714 0.4285
Co13 0.9283 0.2858 0.2142
O1 0.0100 0.2679 0.0168
O2 0.0611 0.9452 0.7694
O3 0.0816 0.4824 0.8020
O4 0.1338 0.1607 0.5548
O5 0.1522 0.6959 0.5874
O6 0.2031 0.3745 0.3400
O7 0.2090 0.9054 0.3663
O8 0.2759 0.5896 0.1272
O9 0.2955 0.1251 0.1585
O10 0.3468 0.8027 0.9122
O11 0.3664 0.3396 0.9450
O12 0.4146 0.0191 0.7089
O13 0.4380 0.5536 0.7319
O14 0.4901 0.2451 0.4832
O15 0.5099 0.7549 0.5168
O16 0.5620 0.4464 0.2681
O17 0.5854 0.9809 0.2911
O18 0.6336 0.6604 0.0550
O19 0.6532 0.1973 0.0878
O20 0.7045 0.8749 0.8415
O21 0.7241 0.4104 0.8728
O22 0.7910 0.0946 0.6337
O23 0.7969 0.6255 0.6600
O24 0.8478 0.3041 0.4126
O25 0.8662 0.8393 0.4452
O26 0.9184 0.5176 0.1980
O27 0.9389 0.0548 0.2306
O28 0.9900 0.7321 0.9832
# - Volume: 8.24 Å³/atom
# - Energy of formation from the pure elements: -1794 meV/atom
# - SG: P-1, No. 2

=====

# LiMg6CoO8 | Materials Project | GGA+U | optimized geometry
data_LiMg6CoO8
_chemical_formula_sum 'Li1 Mg6 Co1 O8'
_cell_length_a 4.2065
_cell_length_b 4.2065
_cell_length_c 8.4911
_cell_angle_alpha 90.00
_cell_angle_beta 90.00
_cell_angle_gamma 90.00
_space_group_name_H-M_alt 'P 1'
_space_group_IT_number 1
_space_group_name_Hall 'P 1'
loop_
_atom_site_label
_atom_site_fract_x
_atom_site_fract_y
_atom_site_fract_z
Li1 0.0000 0.0000 0.0000
Mg1 0.0000 0.0000 0.5000
Mg2 0.0000 0.5000 0.2433
Mg3 0.0000 0.5000 0.7567
Mg4 0.5000 0.0000 0.2433
Mg5 0.5000 0.0000 0.7567
Mg6 0.5000 0.5000 0.5000
Co1 0.5000 0.5000 0.0000
O1 0.0000 0.0000 0.2562
O2 0.0000 0.0000 0.7438
O3 0.0000 0.5000 0.0000
O4 0.0000 0.5000 0.5000
O5 0.5000 0.0000 0.0000
O6 0.5000 0.0000 0.5000
O7 0.5000 0.5000 0.2364
O8 0.5000 0.5000 0.7636
# - Volume: 9.39 Å³/atom
# - Energy of formation from the pure elements: -2659 meV/atom
# - SG: P4/mmm, No. 123
# - Polymorph energy (0 for the lowest one): 0 meV/atom

=====

# Li8MgCo13O28 | Materials Project | GGA+U | optimized geometry
data_Li8MgCo13O28
_chemical_formula_sum 'Li8 Mg1 Co13 O28'
_cell_length_a 7.7072
_cell_length_b 8.2979
_cell_length_c 8.7875
_cell_angle_alpha 102.49
_cell_angle_beta 104.32
_cell_angle_gamma 104.78
_space_group_name_H-M_alt 'P 1'
_space_group_IT_number 1
_space_group_name_Hall 'P 1'
loop_
_atom_site_label
_atom_site_fract_x
_atom_site_fract_y
_atom_site_fract_z
Li1 0.0000 0.0000 0.0000
Li2 0.0767 0.2240 0.7794
Li3 0.2134 0.6410 0.3548
Li4 0.3686 0.0776 0.9209
Li5 0.4976 0.5003 0.5008
Li6 0.6271 0.9244 0.0696
Li7 0.7838 0.3598 0.6440
Li8 0.9200 0.7806 0.2142
Mg1 0.3555 0.5738 0.9278
Co1 0.0726 0.7115 0.7785
Co2 0.1449 0.9330 0.5685
Co3 0.2156 0.1490 0.3622
Co4 0.2793 0.3545 0.1404
Co5 0.4325 0.7898 0.7128
Co6 0.4989 0.9991 0.4928
Co7 0.5628 0.2111 0.2793
Co8 0.6381 0.4299 0.0651
Co9 0.7149 0.6502 0.8565
Co10 0.7860 0.8585 0.6405
Co11 0.8642 0.0766 0.4280
Co12 0.9227 0.2910 0.2156
Co13 0.9961 0.5006 0.9979
O1 0.0141 0.2733 0.0180
O2 0.0570 0.9522 0.7582
O3 0.0641 0.4767 0.8077
O4 0.1424 0.1576 0.5640
O5 0.1666 0.7126 0.5828
O6 0.2106 0.3784 0.3337
O7 0.2154 0.9104 0.3790
O8 0.2529 0.5716 0.1274
O9 0.2783 0.1284 0.1453
O10 0.3457 0.8125 0.8944
O11 0.3620 0.3341 0.9556
O12 0.4078 0.0068 0.6893
O13 0.4591 0.5753 0.7282
O14 0.4985 0.2410 0.4748
O15 0.5176 0.7695 0.5278
O16 0.5434 0.4292 0.2672
O17 0.5697 0.9906 0.2931
O18 0.6399 0.1872 0.0916
O19 0.6448 0.6695 0.0446
O20 0.6983 0.8741 0.8455
O21 0.7359 0.4284 0.8714
O22 0.7827 0.0885 0.6152
O23 0.7933 0.6322 0.6649
O24 0.8548 0.2959 0.4149
O25 0.8844 0.8596 0.4422
O26 0.9155 0.5215 0.1869
O27 0.9298 0.0473 0.2294
O28 0.9783 0.7266 0.9810
# - Volume: 10.05 Å³/atom
# - Energy of formation from the pure elements: -1542 meV/atom
# - SG: P1, No. 1

=====

# Li2MgCo13O28 | Materials Project | GGA+U | optimized geometry
data_Li2MgCo13O28
_chemical_formula_sum 'Li2 Mg1 Co13 O28'
_cell_length_a 7.5521
_cell_length_b 8.2327
_cell_length_c 8.7047
_cell_angle_alpha 100.21
_cell_angle_beta 104.41
_cell_angle_gamma 105.29
_space_group_name_H-M_alt 'P 1'
_space_group_IT_number 1
_space_group_name_Hall 'P 1'
loop_
_atom_site_label
_atom_site_fract_x
_atom_site_fract_y
_atom_site_fract_z
Li1 0.0000 0.0000 0.0000
Li2 0.1518 0.4332 0.5754
Mg1 0.1502 0.9369 0.5802
Co1 0.0040 0.5008 0.0034
Co2 0.0756 0.7157 0.7904
Co3 0.2218 0.1473 0.3604
Co4 0.2948 0.3695 0.1531
Co5 0.3651 0.5820 0.9385
Co6 0.4381 0.7944 0.7233
Co7 0.5083 0.0062 0.5044
Co8 0.5780 0.2219 0.2910
Co9 0.6487 0.4331 0.0767
Co10 0.7153 0.6374 0.8547
Co11 0.7849 0.8533 0.6403
Co12 0.8580 0.0680 0.4255
Co13 0.9333 0.2882 0.2169
O1 0.0250 0.2816 0.0329
O2 0.0458 0.9287 0.7749
O3 0.0975 0.4982 0.8186
O4 0.1241 0.1690 0.5365
O5 0.1716 0.6985 0.6144
O6 0.1999 0.3698 0.3364
O7 0.2482 0.9392 0.3818
O8 0.2715 0.5836 0.1217
O9 0.3074 0.1483 0.1735
O10 0.3469 0.7965 0.9105
O11 0.3796 0.3614 0.9666
O12 0.4380 0.0082 0.6958
O13 0.4431 0.5678 0.7478
O14 0.4924 0.2283 0.4750
O15 0.5206 0.7846 0.5319
O16 0.5622 0.4417 0.2632
O17 0.5920 0.0039 0.3154
O18 0.6339 0.6508 0.0456
O19 0.6644 0.2149 0.1042
O20 0.7082 0.8600 0.8347
O21 0.7366 0.4223 0.8898
O22 0.7753 0.0756 0.6146
O23 0.8034 0.6326 0.6729
O24 0.8496 0.2950 0.4023
O25 0.8609 0.8547 0.4539
O26 0.9176 0.5069 0.1888
O27 0.9514 0.0689 0.2345
O28 0.9821 0.7195 0.9739
# - Volume: 11.10 Å³/atom
# - Energy of formation from the pure elements: -1263 meV/atom
# - SG: P1, No. 1
# - Polymorph energy (0 for the lowest one): 0 meV/atom